# 1
Density functional theory data (PBE) for a geometry-optimized CrN2 structure.

Properties
**Magnetization**: 0.000 μB per atom
**Mass density**: 1.89 g/cm3
**E**: -8.626 eV/atom
**DFT formation energy**: -0.28 eV per formula unit

Cell: 13.5219 9.1411 16.5747 Å, 90.00 105.77 90.00°
Last column: nearest neighbours and their distance in Å.
Fractional positions:
Cr: 0.0140 0.1876 0.4030  4 N 1.72-1.73
Cr: 0.0140 0.8124 0.4030  4 N 1.72-1.73
Cr: 0.2071 0.3135 0.7272  4 N 1.72-1.74
Cr: 0.2071 0.6865 0.7272  4 N 1.72-1.74
Cr: 0.2537 0.3135 0.4143  4 N 1.72-1.73
Cr: 0.2537 0.6865 0.4143  4 N 1.72-1.73
Cr: 0.3612 0.1846 0.6101  4 N 1.72-1.73
Cr: 0.3610 0.1858 0.9019  4 N 1.72-1.74
Cr: 0.3610 0.8142 0.9019  4 N 1.72-1.74
Cr: 0.3612 0.8154 0.6101  4 N 1.72-1.73
Cr: 0.3845 0.1850 0.2816  4 N 1.72-1.73
Cr: 0.3845 0.8150 0.2816  4 N 1.72-1.73
Cr: 0.4040 0.3128 0.0950  4 N 1.72-1.74
Cr: 0.4040 0.6872 0.0950  4 N 1.72-1.74
Cr: 0.5960 0.3128 0.9050  4 N 1.72-1.74
Cr: 0.5960 0.6872 0.9050  4 N 1.72-1.74
Cr: 0.6155 0.1850 0.7184  4 N 1.72-1.73
Cr: 0.6155 0.8150 0.7184  4 N 1.72-1.73
Cr: 0.6388 0.1846 0.3899  4 N 1.72-1.73
Cr: 0.6390 0.1858 0.0981  4 N 1.72-1.74
Cr: 0.6390 0.8142 0.0981  4 N 1.72-1.74
Cr: 0.6388 0.8154 0.3899  4 N 1.72-1.73
Cr: 0.7463 0.3135 0.5857  4 N 1.72-1.73
Cr: 0.7463 0.6865 0.5857  4 N 1.72-1.73
Cr: 0.7929 0.3135 0.2728  4 N 1.72-1.74
Cr: 0.7929 0.6865 0.2728  4 N 1.72-1.74
Cr: 0.9860 0.1876 0.5970  4 N 1.72-1.73
Cr: 0.9860 0.8124 0.5970  4 N 1.72-1.73
N: 0.0000 0.2376 0.5000  2 Cr 1.73
N: 0.0000 0.7624 0.5000  2 Cr 1.73
N: 0.0050 0.0000 0.3941  2 Cr 1.72
N: 0.0834 0.2634 0.6762  2 Cr 1.72-1.73
N: 0.0834 0.7366 0.6762  2 Cr 1.72-1.73
N: 0.1313 0.2400 0.3907  2 Cr 1.72-1.73
N: 0.1313 0.7600 0.3907  2 Cr 1.72-1.73
N: 0.2112 0.5000 0.7437  2 Cr 1.73
N: 0.2433 0.5000 0.4237  2 Cr 1.72
N: 0.2525 0.2200 0.8212  2 Cr 1.72-1.74
N: 0.2525 0.7800 0.8212  2 Cr 1.72-1.74
N: 0.2853 0.2721 0.6636  2 Cr 1.72
N: 0.2853 0.7279 0.6636  2 Cr 1.72
N: 0.3078 0.2744 0.3341  2 Cr 1.72-1.73
N: 0.3078 0.7256 0.3341  2 Cr 1.72-1.73
N: 0.3311 0.2476 0.5078  2 Cr 1.73
N: 0.3311 0.7524 0.5078  2 Cr 1.73
N: 0.3343 0.0000 0.6070  2 Cr 1.72
N: 0.3438 0.2377 0.9976  2 Cr 1.73-1.74
N: 0.3438 0.7623 0.9976  2 Cr 1.73-1.74
N: 0.3595 0.0000 0.2787  2 Cr 1.72
N: 0.3648 0.2459 0.1797  2 Cr 1.73-1.74
N: 0.3648 0.7541 0.1797  2 Cr 1.73-1.74
N: 0.3853 0.5000 0.0895  2 Cr 1.73
N: 0.3863 0.0000 0.9056  2 Cr 1.73
N: 0.4670 0.2796 0.8877  2 Cr 1.72-1.74
N: 0.4670 0.7204 0.8877  2 Cr 1.72-1.74
N: 0.4897 0.2102 0.6609  2 Cr 1.72-1.73
N: 0.4897 0.7898 0.6609  2 Cr 1.72-1.73
N: 0.5103 0.2102 0.3391  2 Cr 1.72-1.73
N: 0.5103 0.7898 0.3391  2 Cr 1.72-1.73
N: 0.5330 0.2796 0.1123  2 Cr 1.72-1.74
N: 0.5330 0.7204 0.1123  2 Cr 1.72-1.74
N: 0.6137 0.0000 0.0944  2 Cr 1.73
N: 0.6147 0.5000 0.9105  2 Cr 1.73
N: 0.6352 0.2459 0.8203  2 Cr 1.73-1.74
N: 0.6352 0.7541 0.8203  2 Cr 1.73-1.74
N: 0.6405 0.0000 0.7213  2 Cr 1.72
N: 0.6562 0.2377 0.0024  2 Cr 1.73-1.74
N: 0.6562 0.7623 0.0024  2 Cr 1.73-1.74
N: 0.6657 0.0000 0.3930  2 Cr 1.72
N: 0.6689 0.2476 0.4922  2 Cr 1.73
N: 0.6689 0.7524 0.4922  2 Cr 1.73
N: 0.6922 0.2744 0.6659  2 Cr 1.72-1.73
N: 0.6922 0.7256 0.6659  2 Cr 1.72-1.73
N: 0.7147 0.2721 0.3364  2 Cr 1.72
N: 0.7147 0.7279 0.3364  2 Cr 1.72
N: 0.7475 0.2200 0.1788  2 Cr 1.72-1.74
N: 0.7475 0.7800 0.1788  2 Cr 1.72-1.74
N: 0.7567 0.5000 0.5763  2 Cr 1.72
N: 0.7888 0.5000 0.2563  2 Cr 1.73
N: 0.8687 0.2400 0.6093  2 Cr 1.72-1.73
N: 0.8687 0.7600 0.6093  2 Cr 1.72-1.73
N: 0.9166 0.2634 0.3238  2 Cr 1.72-1.73
N: 0.9166 0.7366 0.3238  2 Cr 1.72-1.73
N: 0.9950 0.0000 0.6059  2 Cr 1.72


# 2
Density functional theory data (PBE) for a geometry-optimized B2OsW2 structure.

Properties
**Magnetization**: 0.000 μB per atom
**Mass density**: 16.94 g/cm3
**E**: -10.365 eV/atom
**DFT formation energy**: -1.32 eV per formula unit

Cell: 7.5987 9.6656 3.0933 Å, 90.00 90.00 90.00°
Last column: nearest neighbours and their distance in Å.
Fractional positions:
B: 0.1166 0.0386 0.0000  2 B 1.87-1.92
B: 0.1257 0.2315 0.0000  1 B 1.87
B: 0.3743 0.7315 0.5000  1 B 1.87
B: 0.3834 0.5386 0.5000  2 B 1.87-1.92
B: 0.6166 0.4614 0.5000  2 B 1.87-1.92
B: 0.6257 0.2685 0.5000  1 B 1.87
B: 0.8743 0.7685 0.0000  1 B 1.87
B: 0.8834 0.9614 0.0000  2 B 1.87-1.92
Os: 0.1191 0.3924 0.5000  3 B 2.19-2.46
Os: 0.3809 0.8924 0.0000  3 B 2.19-2.46
Os: 0.6191 0.1076 0.0000  3 B 2.19-2.46
Os: 0.8809 0.6076 0.5000  3 B 2.19-2.46
W: 0.0725 0.8601 0.5000  6 B 2.33-2.34
W: 0.1912 0.6302 0.0000  4 B 2.30
W: 0.3088 0.1302 0.5000  4 B 2.30
W: 0.4275 0.3601 0.0000  6 B 2.33-2.34
W: 0.5725 0.6399 0.0000  6 B 2.33-2.34
W: 0.6912 0.8698 0.5000  4 B 2.30
W: 0.8088 0.3698 0.0000  4 B 2.30
W: 0.9275 0.1399 0.5000  6 B 2.33-2.34


# 3
Density functional theory data (PBE) for a geometry-optimized Cs2YAgCl6 structure.

Properties
**Magnetization**: 0.000 μB per atom
**Mass density**: 3.49 g/cm3
**E**: -4.065 eV/atom
**DFT formation energy**: -22.16 eV per formula unit

Cell: 7.6850 7.6850 7.6850 Å, 60.00 60.00 60.00°
Last column: nearest neighbours and their distance in Å.
Fractional positions:
Cs: 0.2500 0.2500 0.2500  12 Cl 3.84
Cs: 0.7500 0.7500 0.7500  12 Cl 3.84
Y: 0.0000 0.0000 0.0000  6 Cl 2.65
Ag: 0.5000 0.5000 0.5000  6 Cl 2.78
Cl: 0.2438 0.2438 0.7562  1 Y 2.65, 1 Ag 2.78
Cl: 0.2438 0.7562 0.2438  1 Y 2.65, 1 Ag 2.78
Cl: 0.2438 0.7562 0.7562  1 Y 2.65, 1 Ag 2.78
Cl: 0.7562 0.2438 0.2438  1 Y 2.65, 1 Ag 2.78
Cl: 0.7562 0.2438 0.7562  1 Y 2.65, 1 Ag 2.78
Cl: 0.7562 0.7562 0.2438  1 Y 2.65, 1 Ag 2.78